# Li3Ca

Crystalline Li3Ca at its relaxed geometry (PBE-GGA, Materials Project).

```
data_Li3Ca
_space_group_name_H-M_alt 'P 1'
_space_group_IT_number 1
_cell_length_a 5.912
_cell_length_b 5.912
_cell_length_c 5.912
_cell_angle_alpha 134.27
_cell_angle_beta 134.27
_cell_angle_gamma 66.67
loop_
_space_group_symop_operation_xyz
'x,y,z'
loop_
_atom_site_label
_atom_site_type_symbol
_atom_site_fract_x
_atom_site_fract_y
_atom_site_fract_z
Li1 Li 0.750 0.250 0.500
Li2 Li 0.250 0.750 0.500
Li3 Li 0.500 0.500 0.000
Ca1 Ca 0.000 0.000 0.000
```

The energy relative to the elements is 0.05 eV/atom. As for the excess energy over the best structure of this formula in the dataset: 0.0 meV/atom.